[1]
Here is an optimized crystal structure of Y2CuO4 from the Materials Project database. Energies are from PBE.

a b c (Å): 6.5639 6.5639 5.5100
angles (deg): 90.00 90.00 49.66
Fractional positions:
Y (0.1542, 0.1542, 0.0000)
Y (0.3458, 0.3458, 0.5000)
Y (0.6542, 0.6542, 0.5000)
Y (0.8458, 0.8458, 0.0000)
Cu (0.0000, 0.0000, 0.5000)
Cu (0.5000, 0.5000, 0.0000)
O (0.0084, 0.4916, 0.7500)
O (0.2047, 0.7953, 0.7947)
O (0.2953, 0.7047, 0.2947)
O (0.4916, 0.0084, 0.2500)
O (0.5084, 0.9916, 0.7500)
O (0.7047, 0.2953, 0.7053)
O (0.7953, 0.2047, 0.2053)
O (0.9916, 0.5084, 0.2500)

Summary:
Energy of formation   -3072 meV/atom
ΔE to the lowest computed polymorph   0.0 meV per atom
Uncorrected energy   -111.160 eV/cell

---

[2]
Here is an optimized crystal structure of Rb4Zr6CCl18 from the Materials Project database. Energies are from PBE.

a b c (Å): 10.3329 10.3329 10.0170
angles (deg): 102.72 102.72 117.51
Fractional positions:
Rb (0.0540, 0.7301, 0.6820)
Rb (0.2699, 0.9460, 0.3180)
Rb (0.7301, 0.0540, 0.6820)
Rb (0.9460, 0.2699, 0.3180)
Zr (0.2642, 0.4481, 0.8511)
Zr (0.3782, 0.3782, 0.1433)
Zr (0.4481, 0.2642, 0.8511)
Zr (0.5519, 0.7358, 0.1489)
Zr (0.6218, 0.6218, 0.8567)
Zr (0.7358, 0.5519, 0.1489)
C (0.5000, 0.5000, 0.0000)
Cl (0.0065, 0.6119, 0.3240)
Cl (0.1028, 0.3077, 0.9921)
Cl (0.1801, 0.1801, 0.6727)
Cl (0.2378, 0.2378, 0.3012)
Cl (0.2955, 0.7045, 0.0000)
Cl (0.3077, 0.1028, 0.9921)
Cl (0.3732, 0.5778, 0.6800)
Cl (0.3881, 0.9935, 0.6760)
Cl (0.4222, 0.6268, 0.3200)
Cl (0.5778, 0.3732, 0.6800)
Cl (0.6119, 0.0065, 0.3240)
Cl (0.6268, 0.4222, 0.3200)
Cl (0.6923, 0.8972, 0.0079)
Cl (0.7045, 0.2955, 0.0000)
Cl (0.7622, 0.7622, 0.6988)
Cl (0.8199, 0.8199, 0.3273)
Cl (0.8972, 0.6923, 0.0079)
Cl (0.9935, 0.3881, 0.6760)

Summary:
Energy of formation   -2237 meV/atom
Uncorrected energy   -151.525 eV/cell

---

[3]
Here is an optimized crystal structure of Sr4LaCl11 from the Materials Project database. Energies are from PBE.

a b c (Å): 18.3780 18.3780 18.3780
angles (deg): 164.61 164.61 21.84
Fractional positions:
Sr (0.1023, 0.1023, 0.0000)
Sr (0.2995, 0.2995, 0.0000)
Sr (0.7005, 0.7005, 0.0000)
Sr (0.8977, 0.8977, 0.0000)
La (0.5000, 0.5000, 0.0000)
Cl (0.0000, 0.0000, 0.0000)
Cl (0.0550, 0.5550, 0.5000)
Cl (0.1513, 0.6513, 0.5000)
Cl (0.2500, 0.7500, 0.5000)
Cl (0.3487, 0.8487, 0.5000)
Cl (0.4450, 0.9450, 0.5000)
Cl (0.5550, 0.0550, 0.5000)
Cl (0.6513, 0.1513, 0.5000)
Cl (0.7500, 0.2500, 0.5000)
Cl (0.8487, 0.3487, 0.5000)
Cl (0.9450, 0.4450, 0.5000)

Summary:
Energy of formation   -2782 meV/atom
ΔE to the lowest computed polymorph   7.7 meV per atom
Uncorrected energy   -69.792 eV/cell

---

[4]
Here is an optimized crystal structure of AlSi4O10 from the Materials Project database. Energies are from PBE.

a b c (Å): 7.6538 7.6538 5.0455
angles (deg): 91.73 91.73 47.66
Fractional positions:
Al (0.0000, 0.0000, 0.0000)
Si (0.1992, 0.4949, 0.7272)
Si (0.5051, 0.8008, 0.2728)
Si (0.5071, 0.2108, 0.2406)
Si (0.7892, 0.4929, 0.7594)
O (0.0031, 0.4740, 0.6624)
O (0.0784, 0.7537, 0.8323)
O (0.2463, 0.9216, 0.1677)
O (0.3426, 0.4289, 0.4532)
O (0.3828, 0.2942, 0.9471)
O (0.5260, 0.9969, 0.3376)
O (0.5711, 0.6574, 0.5468)
O (0.7058, 0.6172, 0.0529)
O (0.7668, 0.1211, 0.2197)
O (0.8789, 0.2332, 0.7803)

Summary:
Energy of formation   -3103 meV/atom
Uncorrected energy   -114.600 eV/cell